Record 1
! LiGa2Pt (r2SCAN, relaxed); values from VASP
&SYSTEM
  ibrav = 0, nat = 16, ntyp = 3
/
ATOMIC_SPECIES
Li 6.94 Li.upf
Ga 69.72 Ga.upf
Pt 195.08 Pt.upf
CELL_PARAMETERS angstrom
6.1005 0.0000 0.0000
0.0000 6.1005 0.0000
0.0000 0.0000 6.1005
ATOMIC_POSITIONS crystal
Li 0.0000 0.0000 0.0000
Li 0.0000 0.5000 0.5000
Li 0.5000 0.0000 0.5000
Li 0.5000 0.5000 0.0000
Ga 0.2500 0.2500 0.2500
Ga 0.2500 0.2500 0.7500
Ga 0.2500 0.7500 0.2500
Ga 0.2500 0.7500 0.7500
Ga 0.7500 0.2500 0.2500
Ga 0.7500 0.2500 0.7500
Ga 0.7500 0.7500 0.2500
Ga 0.7500 0.7500 0.7500
Pt 0.0000 0.0000 0.5000
Pt 0.0000 0.5000 0.0000
Pt 0.5000 0.0000 0.0000
Pt 0.5000 0.5000 0.5000
! formation enthalpy at 0 K = -672 meV per atom
! crystal system = cubic
! magnetic moment = 0.00 μB/f.u.

Record 2
! Li2GaRh (r2SCAN, relaxed); values from VASP
&SYSTEM
  ibrav = 0, nat = 16, ntyp = 3
/
ATOMIC_SPECIES
Li 6.94 Li.upf
Ga 69.72 Ga.upf
Rh 102.91 Rh.upf
CELL_PARAMETERS angstrom
5.9435 0.0000 0.0000
0.0000 5.9435 0.0000
0.0000 0.0000 5.9435
ATOMIC_POSITIONS crystal
Li 0.0000 0.0000 0.0000
Li 0.0000 0.5000 0.5000
Li 0.2500 0.2500 0.2500
Li 0.2500 0.7500 0.7500
Li 0.5000 0.0000 0.5000
Li 0.5000 0.5000 0.0000
Li 0.7500 0.2500 0.7500
Li 0.7500 0.7500 0.2500
Ga 0.2500 0.2500 0.7500
Ga 0.2500 0.7500 0.2500
Ga 0.7500 0.2500 0.2500
Ga 0.7500 0.7500 0.7500
Rh 0.0000 0.0000 0.5000
Rh 0.0000 0.5000 0.0000
Rh 0.5000 0.0000 0.0000
Rh 0.5000 0.5000 0.5000
! formation enthalpy at 0 K = -507 meV per atom
! crystal system = cubic
! magnetic moment = 0.00 μB/f.u.

Record 3
! LiGa2Ru (r2SCAN, relaxed); values from VASP
&SYSTEM
  ibrav = 0, nat = 16, ntyp = 3
/
ATOMIC_SPECIES
Li 6.94 Li.upf
Ga 69.72 Ga.upf
Ru 101.07 Ru.upf
CELL_PARAMETERS angstrom
6.0024 0.0000 0.0000
0.0000 6.0024 0.0000
0.0000 0.0000 6.0024
ATOMIC_POSITIONS crystal
Li 0.0000 0.0000 0.0000
Li 0.0000 0.5000 0.5000
Li 0.5000 0.0000 0.5000
Li 0.5000 0.5000 0.0000
Ga 0.2500 0.2500 0.2500
Ga 0.2500 0.2500 0.7500
Ga 0.2500 0.7500 0.2500
Ga 0.2500 0.7500 0.7500
Ga 0.7500 0.2500 0.2500
Ga 0.7500 0.2500 0.7500
Ga 0.7500 0.7500 0.2500
Ga 0.7500 0.7500 0.7500
Ru 0.0000 0.0000 0.5000
Ru 0.0000 0.5000 0.0000
Ru 0.5000 0.0000 0.0000
Ru 0.5000 0.5000 0.5000
! formation enthalpy at 0 K = -370 meV per atom
! crystal system = cubic
! magnetic moment = 0.00 μB/f.u.

Record 4
! LiSm2Ga (r2SCAN, relaxed); values from VASP
&SYSTEM
  ibrav = 0, nat = 16, ntyp = 3
/
ATOMIC_SPECIES
Li 6.94 Li.upf
Sm 150.36 Sm.upf
Ga 69.72 Ga.upf
CELL_PARAMETERS angstrom
7.3474 0.0000 0.0000
0.0000 7.3474 0.0000
0.0000 0.0000 7.3474
ATOMIC_POSITIONS crystal
Li 0.0000 0.0000 0.0000
Li 0.0000 0.5000 0.5000
Li 0.5000 0.0000 0.5000
Li 0.5000 0.5000 0.0000
Sm 0.2500 0.2500 0.2500
Sm 0.2500 0.2500 0.7500
Sm 0.2500 0.7500 0.2500
Sm 0.2500 0.7500 0.7500
Sm 0.7500 0.2500 0.2500
Sm 0.7500 0.2500 0.7500
Sm 0.7500 0.7500 0.2500
Sm 0.7500 0.7500 0.7500
Ga 0.0000 0.0000 0.5000
Ga 0.0000 0.5000 0.0000
Ga 0.5000 0.0000 0.0000
Ga 0.5000 0.5000 0.5000
! formation enthalpy at 0 K = -352 meV per atom
! crystal system = cubic
! magnetic moment = 0.00 μB/f.u.

Record 5
! LiYGa4 (r2SCAN, relaxed); values from VASP
&SYSTEM
  ibrav = 0, nat = 6, ntyp = 3
/
ATOMIC_SPECIES
Li 6.94 Li.upf
Y 88.91 Y.upf
Ga 69.72 Ga.upf
CELL_PARAMETERS angstrom
4.2991 0.0000 0.0000
-2.1495 3.7231 0.0000
0.0000 0.0000 6.9031
ATOMIC_POSITIONS crystal
Li 0.0000 0.0000 0.0000
Y 0.0000 0.0000 0.5000
Ga 0.3333 0.6667 0.1890
Ga 0.3333 0.6667 0.8110
Ga 0.6667 0.3333 0.2761
Ga 0.6667 0.3333 0.7239
! formation enthalpy at 0 K = -579 meV per atom
! crystal system = hexagonal
! magnetic moment = 0.00 μB/f.u.

Record 6
! LiY2Ga (r2SCAN, relaxed); values from VASP
&SYSTEM
  ibrav = 0, nat = 16, ntyp = 3
/
ATOMIC_SPECIES
Li 6.94 Li.upf
Y 88.91 Y.upf
Ga 69.72 Ga.upf
CELL_PARAMETERS angstrom
7.2106 0.0000 0.0000
0.0000 7.2106 0.0000
0.0000 0.0000 7.2106
ATOMIC_POSITIONS crystal
Li 0.0000 0.0000 0.0000
Li 0.0000 0.5000 0.5000
Li 0.5000 0.0000 0.5000
Li 0.5000 0.5000 0.0000
Y 0.2500 0.2500 0.2500
Y 0.2500 0.2500 0.7500
Y 0.2500 0.7500 0.2500
Y 0.2500 0.7500 0.7500
Y 0.7500 0.2500 0.2500
Y 0.7500 0.2500 0.7500
Y 0.7500 0.7500 0.2500
Y 0.7500 0.7500 0.7500
Ga 0.0000 0.0000 0.5000
Ga 0.0000 0.5000 0.0000
Ga 0.5000 0.0000 0.0000
Ga 0.5000 0.5000 0.5000
! formation enthalpy at 0 K = -381 meV per atom
! crystal system = cubic
! magnetic moment = 0.02 μB/f.u.

Record 7
! Lu5Ga3 (r2SCAN, relaxed); values from VASP
&SYSTEM
  ibrav = 0, nat = 16, ntyp = 2
/
ATOMIC_SPECIES
Lu 174.97 Lu.upf
Ga 69.72 Ga.upf
CELL_PARAMETERS angstrom
4.1738 -7.2145 0.0000
4.1738 7.2145 0.0000
-0.1788 0.0000 6.2876
ATOMIC_POSITIONS crystal
Lu 0.1485 0.8515 0.0000
Lu 0.1841 0.8159 0.5000
Lu 0.2542 0.4959 0.7632
Lu 0.2680 0.2680 0.2719
Lu 0.4959 0.2542 0.7632
Lu 0.5041 0.7458 0.2368
Lu 0.7320 0.7320 0.7281
Lu 0.7458 0.5041 0.2368
Lu 0.8159 0.1841 0.5000
Lu 0.8515 0.1485 0.0000
Ga 0.0913 0.0913 0.6898
Ga 0.0980 0.5012 0.2137
Ga 0.4988 0.9020 0.7863
Ga 0.5012 0.0980 0.2137
Ga 0.9020 0.4988 0.7863
Ga 0.9087 0.9087 0.3102
! formation enthalpy at 0 K = -593 meV per atom
! crystal system = monoclinic
! relative energy among the computed polymorphs = 0.0 kJ per mole of atoms
! magnetic moment = 0.13 μB/f.u.

Record 8
! LuGa (r2SCAN, relaxed); values from VASP
&SYSTEM
  ibrav = 0, nat = 8, ntyp = 2
/
ATOMIC_SPECIES
Lu 174.97 Lu.upf
Ga 69.72 Ga.upf
CELL_PARAMETERS angstrom
4.2249 0.0000 0.0000
0.0000 10.4954 0.0000
0.0000 0.0000 3.9610
ATOMIC_POSITIONS crystal
Lu 0.0000 0.1387 0.2500
Lu 0.0000 0.8613 0.7500
Lu 0.5000 0.3613 0.7500
Lu 0.5000 0.6387 0.2500
Ga 0.0000 0.4217 0.2500
Ga 0.0000 0.5783 0.7500
Ga 0.5000 0.0783 0.7500
Ga 0.5000 0.9217 0.2500
! formation enthalpy at 0 K = -714 meV per atom
! crystal system = orthorhombic
! magnetic moment = 0.00 μB/f.u.

Record 9
! Lu3Ga5 (r2SCAN, relaxed); values from VASP
&SYSTEM
  ibrav = 0, nat = 32, ntyp = 2
/
ATOMIC_SPECIES
Lu 174.97 Lu.upf
Ga 69.72 Ga.upf
CELL_PARAMETERS angstrom
11.1472 0.0000 0.0000
0.0000 9.4342 0.0000
0.0000 0.0000 5.9632
ATOMIC_POSITIONS crystal
Lu 0.0745 0.2500 0.1511
Lu 0.1480 0.5107 0.6097
Lu 0.1480 0.9893 0.6097
Lu 0.3520 0.0107 0.1097
Lu 0.3520 0.4893 0.1097
Lu 0.4255 0.7500 0.6511
Lu 0.5745 0.2500 0.3489
Lu 0.6480 0.5107 0.8903
Lu 0.6480 0.9893 0.8903
Lu 0.8520 0.0107 0.3903
Lu 0.8520 0.4893 0.3903
Lu 0.9255 0.7500 0.8489
Ga 0.0062 0.2500 0.6253
Ga 0.0911 0.5527 0.1265
Ga 0.0911 0.9473 0.1265
Ga 0.2006 0.7500 0.8958
Ga 0.2491 0.7500 0.3245
Ga 0.2509 0.2500 0.8245
Ga 0.2994 0.2500 0.3958
Ga 0.4089 0.0527 0.6265
Ga 0.4089 0.4473 0.6265
Ga 0.4938 0.7500 0.1253
Ga 0.5062 0.2500 0.8747
Ga 0.5911 0.5527 0.3735
Ga 0.5911 0.9473 0.3735
Ga 0.7006 0.7500 0.6042
Ga 0.7491 0.7500 0.1755
Ga 0.7509 0.2500 0.6755
Ga 0.7994 0.2500 0.1042
Ga 0.9089 0.0527 0.8735
Ga 0.9089 0.4473 0.8735
Ga 0.9938 0.7500 0.3747
! formation enthalpy at 0 K = -683 meV per atom
! crystal system = orthorhombic
! magnetic moment = 0.00 μB/f.u.

| no. | total DFT energy (no corrections) (eV/atom) |
| --- | --- |
| 1 | -19.86 |
| 2 | -10.59 |
| 3 | -13.04 |
| 4 | -18.68 |
| 5 | -11.99 |
| 6 | -14.00 |
| 7 | -28.68 |
| 8 | -25.48 |
| 9 | -22.11 |